# 1
MgTe2Mo3WSe4S2 | PBE | optimized geometry

Results
Space group = P1
Total energy after the MP2020 corrections = -82.75 eV per cell
Excess energy over the best structure of this formula in the dataset = 22 meV per atom
Crystal system = triclinic
Total magnetic moment = 0.0 μB per formula unit
Mass density = 5.13 g/cm³
Energy relative to the elements = -0.5469 eV per atom
Calculated volume = 365.8 Å³ per cell

a = 3.335 Å, b = 3.335 Å, c = 37.982 Å
α = 90.00°, β = 90.00°, γ = 120.00°
Sites, in units of the cell vectors:
Se1 0.333 0.667 0.238
Se2 0.667 0.333 0.050
Se3 0.667 0.333 0.138
Se4 0.333 0.667 0.326
Mo1 0.667 0.333 0.282
Mo2 0.333 0.667 0.094
Mo3 0.667 0.333 0.658
S1 0.667 0.333 0.510
S2 0.667 0.333 0.429
W1 0.333 0.667 0.470
Mg1 0.640 0.233 0.882
Te1 0.333 0.667 0.708
Te2 0.333 0.667 0.608

=====

# 2
MgTe4MoW3Se2S2 | PBE | optimized geometry

Results
Space group = P3m1
Total energy after the MP2020 corrections = -84.14 eV per cell
Excess energy over the best structure of this formula in the dataset = 4 meV per atom
Crystal system = trigonal
Total magnetic moment = 0.0 μB per formula unit
Mass density = 5.04 g/cm³
Energy relative to the elements = -0.3835 eV per atom
Calculated volume = 462.9 Å³ per cell

a = 3.389 Å, b = 3.389 Å, c = 46.530 Å
α = 90.01°, β = 90.00°, γ = 120.00°
Sites, in units of the cell vectors:
W1 0.667 0.334 0.658
W2 0.333 0.667 0.479
W3 0.333 0.666 0.094
Mo1 0.667 0.333 0.275
Te1 0.333 0.667 0.235
Te2 0.333 0.667 0.316
Te3 0.334 0.667 0.698
Te4 0.333 0.667 0.617
S1 0.667 0.333 0.446
S2 0.667 0.333 0.511
Se1 0.667 0.333 0.129
Se2 0.666 0.333 0.058
Mg1 0.000 0.000 0.380

=====

# 3
MgTe4Mo3WSe2S2 | PBE | optimized geometry

Results
Space group = P1
Total energy after the MP2020 corrections = -80.62 eV per cell
Excess energy over the best structure of this formula in the dataset = 28 meV per atom
Crystal system = triclinic
Total magnetic moment = 0.0 μB per formula unit
Mass density = 5.32 g/cm³
Energy relative to the elements = -0.4373 eV per atom
Calculated volume = 383.5 Å³ per cell

a = 3.387 Å, b = 3.386 Å, c = 38.619 Å
α = 90.00°, β = 90.00°, γ = 120.00°
Sites, in units of the cell vectors:
W1 0.333 0.666 0.470
Mo1 0.667 0.333 0.282
Mo2 0.667 0.333 0.658
Mo3 0.333 0.667 0.094
Te1 0.667 0.333 0.143
Te2 0.667 0.333 0.045
Te3 0.333 0.667 0.706
Te4 0.333 0.667 0.609
S1 0.667 0.333 0.509
S2 0.667 0.333 0.431
Mg1 0.741 0.400 0.874
Se1 0.333 0.667 0.325
Se2 0.333 0.667 0.239

=====

# 4
MgTe4MoW3Se2S2 | PBE | optimized geometry

Results
Space group = Cm
Total energy after the MP2020 corrections = -83.88 eV per cell
Excess energy over the best structure of this formula in the dataset = 24 meV per atom
Crystal system = monoclinic
Total magnetic moment = 0.1 μB per formula unit
Mass density = 5.38 g/cm³
Energy relative to the elements = -0.3632 eV per atom
Calculated volume = 433.6 Å³ per cell

a = 3.412 Å, b = 3.412 Å, c = 43.010 Å
α = 90.00°, β = 90.18°, γ = 120.00°
Sites, in units of the cell vectors:
Te1 0.331 0.665 0.614
Te2 0.669 0.335 0.138
Te3 0.336 0.668 0.701
Te4 0.664 0.332 0.050
S1 0.336 0.668 0.242
S2 0.336 0.668 0.312
W1 0.667 0.333 0.658
W2 0.333 0.667 0.094
W3 0.333 0.666 0.474
Mo1 0.669 0.335 0.277
Se1 0.668 0.334 0.512
Se2 0.664 0.332 0.435
Mg1 0.672 0.336 0.365